# 1
! Sm2MgCd PBE optimized geometry; values from VASP
&SYSTEM
  ibrav = 0, nat = 4, ntyp = 3
/
ATOMIC_SPECIES
Cd 112.41 Cd.upf
Sm 150.36 Sm.upf
Mg 24.30 Mg.upf
CELL_PARAMETERS angstrom
-3.4128 -3.6045 -2.1641
-5.2849 1.1336 -0.3287
-2.2658 0.9724 -4.8212
ATOMIC_POSITIONS crystal
Cd 0.5000 0.5000 0.5000
Sm 0.7500 0.7500 0.7500
Sm 0.2500 0.2500 0.2500
Mg 0.0000 0.0000 0.0000
! Formation energy = -204.2 meV/atom

---

# 2
! SrMg14Cd PBE optimized geometry; values from VASP
&SYSTEM
  ibrav = 0, nat = 16, ntyp = 3
/
ATOMIC_SPECIES
Mg 24.30 Mg.upf
Cd 112.41 Cd.upf
Sr 87.62 Sr.upf
CELL_PARAMETERS angstrom
-4.0276 4.5822 -2.3843
-2.4080 -5.7440 2.0157
-1.2778 3.9720 9.7921
ATOMIC_POSITIONS crystal
Mg 0.3373 0.1620 0.3858
Mg 0.8247 0.1624 0.3873
Mg 0.8247 0.1624 0.8627
Mg 0.8343 0.6671 0.3689
Mg 0.6668 0.8324 0.6250
Mg 0.6601 0.8400 0.1250
Mg 0.1656 0.8328 0.6250
Mg 0.3373 0.6753 0.8642
Mg 0.3373 0.1620 0.8642
Mg 0.6668 0.3344 0.6250
Mg 0.8343 0.6671 0.8811
Mg 0.3373 0.6753 0.3858
Mg 0.1669 0.3334 0.6250
Mg 0.6601 0.3201 0.1250
Cd 0.1819 0.8409 0.1250
Sr 0.1646 0.3323 0.1250
! Excess energy over the best structure of this formula in the dataset = 0 meV per atom
! Spin magnetization = 0.00 μB/cell
! Formation energy = 17.8 meV/atom

---

# 3
! SrMg14Cd PBE optimized geometry; values from VASP
&SYSTEM
  ibrav = 0, nat = 16, ntyp = 3
/
ATOMIC_SPECIES
Mg 24.30 Mg.upf
Cd 112.41 Cd.upf
Sr 87.62 Sr.upf
CELL_PARAMETERS angstrom
6.5530 0.0000 0.0000
-3.2765 5.6751 0.0000
0.0000 0.0000 10.5747
ATOMIC_POSITIONS crystal
Mg 0.8258 0.1629 0.3876
Mg 0.8333 0.6667 0.3696
Mg 0.6681 0.3362 0.6250
Mg 0.1784 0.8392 0.1250
Mg 0.6608 0.3216 0.1250
Mg 0.3371 0.1629 0.8624
Mg 0.1638 0.8319 0.6250
Mg 0.3371 0.1629 0.3876
Mg 0.3371 0.6742 0.3876
Mg 0.6681 0.8319 0.6250
Mg 0.8258 0.1629 0.8624
Mg 0.3371 0.6742 0.8624
Mg 0.8333 0.6667 0.8804
Mg 0.6608 0.8392 0.1250
Cd 0.1667 0.3333 0.6250
Sr 0.1667 0.3333 0.1250
! Excess energy over the best structure of this formula in the dataset = 8 meV per atom
! Spin magnetization = 0.01 μB/cell
! Formation energy = 26.1 meV/atom

---

# 4
! SrMg6Cd PBE optimized geometry; values from VASP
&SYSTEM
  ibrav = 0, nat = 16, ntyp = 3
/
ATOMIC_SPECIES
Cd 112.41 Cd.upf
Mg 24.30 Mg.upf
Sr 87.62 Sr.upf
CELL_PARAMETERS angstrom
5.2469 0.0000 0.0000
0.0000 6.6828 0.0000
0.0000 0.0000 11.8773
ATOMIC_POSITIONS crystal
Cd 0.5000 0.0000 0.6606
Cd 0.5000 0.5000 0.1606
Mg 0.5000 0.7437 0.9189
Mg 0.0000 0.2636 0.0793
Mg 0.0000 0.7636 0.5793
Mg 0.0000 0.2364 0.5793
Mg 0.0000 0.7364 0.0793
Mg 0.0000 0.5000 0.8419
Mg 0.5000 0.2437 0.4189
Mg 0.5000 0.7563 0.4189
Mg 0.5000 0.2563 0.9189
Mg 0.0000 0.0000 0.8323
Mg 0.0000 0.5000 0.3323
Mg 0.0000 0.0000 0.3419
Sr 0.5000 0.5000 0.6687
Sr 0.5000 0.0000 0.1687
! Excess energy over the best structure of this formula in the dataset = 5 meV per atom
! Spin magnetization = 0.01 μB/cell
! Formation energy = 18.4 meV/atom

---

# 5
! SrMg6Cd PBE optimized geometry; values from VASP
&SYSTEM
  ibrav = 0, nat = 16, ntyp = 3
/
ATOMIC_SPECIES
Mg 24.30 Mg.upf
Sr 87.62 Sr.upf
Cd 112.41 Cd.upf
CELL_PARAMETERS angstrom
-4.8637 1.7639 -0.7222
-1.2567 -0.7407 6.6539
3.7022 10.9957 1.9232
ATOMIC_POSITIONS crystal
Mg 0.5000 0.0000 0.8329
Mg 0.0000 0.7445 0.9196
Mg 0.5000 0.2661 0.0768
Mg 0.0000 0.7555 0.4196
Mg 0.0000 0.5000 0.1618
Mg 0.0000 0.0000 0.6618
Mg 0.5000 0.7661 0.5768
Mg 0.0000 0.2555 0.9196
Mg 0.5000 0.5000 0.3329
Mg 0.5000 0.7339 0.0768
Mg 0.0000 0.2445 0.4196
Mg 0.5000 0.2339 0.5768
Sr 0.0000 0.0000 0.1697
Sr 0.0000 0.5000 0.6697
Cd 0.5000 0.5000 0.8428
Cd 0.5000 0.0000 0.3428
! Excess energy over the best structure of this formula in the dataset = 0 meV per atom
! Spin magnetization = 0.01 μB/cell
! Formation energy = 13.8 meV/atom

---

# 6
! TbMgCd2 PBE optimized geometry; values from VASP
&SYSTEM
  ibrav = 0, nat = 4, ntyp = 3
/
ATOMIC_SPECIES
Mg 24.30 Mg.upf
Cd 112.41 Cd.upf
Tb 158.93 Tb.upf
CELL_PARAMETERS angstrom
0.0000 3.6160 3.6160
3.6160 0.0000 3.6160
3.6160 3.6160 0.0000
ATOMIC_POSITIONS crystal
Mg 0.5000 0.5000 0.5000
Cd 0.2500 0.2500 0.2500
Cd 0.7500 0.7500 0.7500
Tb 0.0000 0.0000 0.0000
! Formation energy = -310.7 meV/atom

---

# 7
! MgCdTe2 PBE optimized geometry; values from VASP
&SYSTEM
  ibrav = 0, nat = 4, ntyp = 3
/
ATOMIC_SPECIES
Te 127.60 Te.upf
Cd 112.41 Cd.upf
Mg 24.30 Mg.upf
CELL_PARAMETERS angstrom
7.6908 -2.3262 0.0000
7.6908 2.3262 0.0000
6.9872 0.0000 3.9671
ATOMIC_POSITIONS crystal
Te 0.1267 0.1267 0.1267
Te 0.6234 0.6234 0.6234
Cd 0.0003 0.0003 0.0003
Mg 0.4995 0.4995 0.4995
! Formation energy = -872.5 meV/atom

---

# 8
! MgCdTe2 PBE optimized geometry; values from VASP
&SYSTEM
  ibrav = 0, nat = 4, ntyp = 3
/
ATOMIC_SPECIES
Te 127.60 Te.upf
Cd 112.41 Cd.upf
Mg 24.30 Mg.upf
CELL_PARAMETERS angstrom
4.6507 0.0000 0.0000
0.0000 4.6507 0.0000
0.0000 0.0000 6.5572
ATOMIC_POSITIONS crystal
Te 0.5000 0.0000 0.7434
Te 0.0000 0.5000 0.2566
Cd 0.0000 0.0000 0.0000
Mg 0.5000 0.5000 0.5000
! Formation energy = -875.4 meV/atom

---

# 9
! MgCdTe2 PBE optimized geometry; values from VASP
&SYSTEM
  ibrav = 0, nat = 8, ntyp = 3
/
ATOMIC_SPECIES
Te 127.60 Te.upf
Cd 112.41 Cd.upf
Mg 24.30 Mg.upf
CELL_PARAMETERS angstrom
1.9890 0.8442 7.7538
-0.4732 7.7616 2.0793
-5.1994 -4.8962 -3.7126
ATOMIC_POSITIONS crystal
Te 0.8750 0.3682 0.9932
Te 0.1182 0.1250 0.4932
Te 0.6318 0.6250 0.5068
Te 0.3750 0.8818 0.0068
Cd 0.5000 0.5000 0.0000
Cd 0.2500 0.7500 0.5000
Mg 0.0000 0.0000 0.0000
Mg 0.7500 0.2500 0.5000
! Formation energy = -875.1 meV/atom

---

# 10
! Mg6TiCd PBE optimized geometry; values from VASP
&SYSTEM
  ibrav = 0, nat = 16, ntyp = 3
/
ATOMIC_SPECIES
Mg 24.30 Mg.upf
Ti 47.87 Ti.upf
Cd 112.41 Cd.upf
CELL_PARAMETERS angstrom
4.9814 0.0000 0.0000
0.0000 6.2798 0.0000
0.0000 0.0000 11.0102
ATOMIC_POSITIONS crystal
Mg 0.0000 0.5000 0.8292
Mg 0.0000 0.7554 0.0850
Mg 0.0000 0.2554 0.5850
Mg 0.0000 0.7446 0.5850
Mg 0.5000 0.2526 0.9173
Mg 0.0000 0.0000 0.8328
Mg 0.0000 0.0000 0.3292
Mg 0.5000 0.2474 0.4173
Mg 0.0000 0.2446 0.0850
Mg 0.5000 0.7474 0.9173
Mg 0.5000 0.7526 0.4173
Mg 0.0000 0.5000 0.3328
Ti 0.5000 0.5000 0.6679
Ti 0.5000 0.0000 0.1679
Cd 0.5000 0.0000 0.6654
Cd 0.5000 0.5000 0.1654
! Excess energy over the best structure of this formula in the dataset = 0 meV per atom
! Spin magnetization = 2.91 μB/cell
! Formation energy = 60.3 meV/atom

---

# 11
! Mg14TiCd PBE optimized geometry; values from VASP
&SYSTEM
  ibrav = 0, nat = 16, ntyp = 3
/
ATOMIC_SPECIES
Mg 24.30 Mg.upf
Ti 47.87 Ti.upf
Cd 112.41 Cd.upf
CELL_PARAMETERS angstrom
-0.6150 3.7442 5.0921
-5.1353 -2.5610 -2.6712
0.8848 -8.0914 6.0565
ATOMIC_POSITIONS crystal
Mg 0.3309 0.1691 0.8789
Mg 0.3309 0.6618 0.8789
Mg 0.6663 0.3333 0.6250
Mg 0.8336 0.6668 0.8769
Mg 0.6656 0.8362 0.1250
Mg 0.8336 0.6668 0.3731
Mg 0.3309 0.1691 0.3711
Mg 0.1671 0.3335 0.6250
Mg 0.8384 0.1692 0.8772
Mg 0.3309 0.6618 0.3711
Mg 0.6656 0.3294 0.1250
Mg 0.8384 0.1692 0.3728
Mg 0.6663 0.8330 0.6250
Mg 0.1669 0.8334 0.6250
Ti 0.1641 0.3320 0.1250
Cd 0.1704 0.8352 0.1250
! Spin magnetization = 1.30 μB/cell
! Formation energy = 28.4 meV/atom

---

# 12
! Mg14TiCd PBE optimized geometry; values from VASP
&SYSTEM
  ibrav = 0, nat = 16, ntyp = 3
/
ATOMIC_SPECIES
Cd 112.41 Cd.upf
Mg 24.30 Mg.upf
Ti 47.87 Ti.upf
CELL_PARAMETERS angstrom
-4.3191 -4.4054 1.5226
3.5558 2.6666 4.5416
-7.0155 7.2959 1.2090
ATOMIC_POSITIONS crystal
Cd 0.1667 0.3333 0.6250
Mg 0.1703 0.8351 0.1250
Mg 0.6674 0.3348 0.6250
Mg 0.3301 0.1699 0.3728
Mg 0.3301 0.1699 0.8772
Mg 0.8333 0.6667 0.3732
Mg 0.1652 0.8326 0.6250
Mg 0.3301 0.6602 0.3728
Mg 0.8333 0.6667 0.8768
Mg 0.6649 0.3297 0.1250
Mg 0.6674 0.8326 0.6250
Mg 0.8398 0.1699 0.8772
Mg 0.3301 0.6602 0.8772
Mg 0.6649 0.8351 0.1250
Mg 0.8398 0.1699 0.3728
Ti 0.1667 0.3333 0.1250
! Spin magnetization = 1.39 μB/cell
! Formation energy = 27.3 meV/atom

---

# 13
! Mg6TiCd PBE optimized geometry; values from VASP
&SYSTEM
  ibrav = 0, nat = 16, ntyp = 3
/
ATOMIC_SPECIES
Mg 24.30 Mg.upf
Cd 112.41 Cd.upf
Ti 47.87 Ti.upf
CELL_PARAMETERS angstrom
-0.4645 -3.2994 3.6936
-3.5605 -3.6864 -3.7408
9.0040 -5.1642 -3.4809
ATOMIC_POSITIONS crystal
Mg 0.0000 0.7520 0.5822
Mg 0.5000 0.0000 0.1670
Mg 0.5000 0.5000 0.6670
Mg 0.5000 0.2448 0.9147
Mg 0.0000 0.5000 0.8347
Mg 0.0000 0.7480 0.0822
Mg 0.0000 0.0000 0.3347
Mg 0.0000 0.2520 0.0822
Mg 0.0000 0.2480 0.5822
Mg 0.5000 0.2552 0.4147
Mg 0.5000 0.7448 0.4147
Mg 0.5000 0.7552 0.9147
Cd 0.5000 0.5000 0.1717
Cd 0.5000 0.0000 0.6717
Ti 0.0000 0.0000 0.8326
Ti 0.0000 0.5000 0.3326
! Excess energy over the best structure of this formula in the dataset = 8 meV per atom
! Spin magnetization = 0.00 μB/cell
! Formation energy = 68.2 meV/atom

---

# 14
! Tm2MgCd PBE optimized geometry; values from VASP
&SYSTEM
  ibrav = 0, nat = 4, ntyp = 3
/
ATOMIC_SPECIES
Tm 168.93 Tm.upf
Cd 112.41 Cd.upf
Mg 24.30 Mg.upf
CELL_PARAMETERS angstrom
-0.2797 -3.9106 3.5130
-3.7504 0.0434 3.6939
-3.9578 -3.4636 -0.2265
ATOMIC_POSITIONS crystal
Tm 0.7500 0.7500 0.7500
Tm 0.2500 0.2500 0.2500
Cd 0.5000 0.5000 0.5000
Mg 0.0000 0.0000 0.0000
! Formation energy = -176.9 meV/atom

---

# 15
! Mg14VCd PBE optimized geometry; values from VASP
&SYSTEM
  ibrav = 0, nat = 16, ntyp = 3
/
ATOMIC_SPECIES
Mg 24.30 Mg.upf
Cd 112.41 Cd.upf
V 50.94 V.upf
CELL_PARAMETERS angstrom
6.3232 0.0000 0.0000
-3.1616 5.4760 0.0000
0.0000 0.0000 10.1752
ATOMIC_POSITIONS crystal
Mg 0.3305 0.6611 0.3726
Mg 0.3305 0.1695 0.8774
Mg 0.8333 0.6667 0.8748
Mg 0.6658 0.8342 0.1250
Mg 0.1656 0.8328 0.6250
Mg 0.6672 0.8328 0.6250
Mg 0.6672 0.3344 0.6250
Mg 0.8389 0.1695 0.3726
Mg 0.1683 0.8342 0.1250
Mg 0.3305 0.1695 0.3726
Mg 0.3305 0.6611 0.8774
Mg 0.8389 0.1695 0.8774
Mg 0.8333 0.6667 0.3752
Mg 0.6658 0.3317 0.1250
Cd 0.1667 0.3333 0.6250
V 0.1667 0.3333 0.1250
! Spin magnetization = 3.09 μB/cell
! Formation energy = 59.6 meV/atom

---

# 16
! Mg14VCd PBE optimized geometry; values from VASP
&SYSTEM
  ibrav = 0, nat = 16, ntyp = 3
/
ATOMIC_SPECIES
Mg 24.30 Mg.upf
Cd 112.41 Cd.upf
V 50.94 V.upf
CELL_PARAMETERS angstrom
-3.5182 2.5730 -4.5657
0.0027 -6.2649 0.8435
-7.7893 0.8709 6.4930
ATOMIC_POSITIONS crystal
Mg 0.8335 0.6667 0.3750
Mg 0.3299 0.1689 0.8807
Mg 0.8335 0.6667 0.8750
Mg 0.6660 0.8336 0.6250
Mg 0.8387 0.1693 0.8780
Mg 0.3299 0.6610 0.8807
Mg 0.6660 0.3324 0.6250
Mg 0.6674 0.8362 0.1250
Mg 0.6674 0.3312 0.1250
Mg 0.1679 0.8339 0.6250
Mg 0.3299 0.1689 0.3693
Mg 0.3299 0.6610 0.3693
Mg 0.1670 0.3335 0.6250
Mg 0.8387 0.1693 0.3720
Cd 0.1688 0.8344 0.1250
V 0.1654 0.3327 0.1250
! Spin magnetization = 3.12 μB/cell
! Formation energy = 61.0 meV/atom

---

# 17
! Mg14CdW PBE optimized geometry; values from VASP
&SYSTEM
  ibrav = 0, nat = 16, ntyp = 3
/
ATOMIC_SPECIES
Mg 24.30 Mg.upf
W 183.84 W.upf
Cd 112.41 Cd.upf
CELL_PARAMETERS angstrom
6.2944 0.0000 0.0000
-3.1472 5.4511 0.0000
0.0000 0.0000 9.9612
ATOMIC_POSITIONS crystal
Mg 0.3267 0.6534 0.8827
Mg 0.8333 0.6667 0.3740
Mg 0.1669 0.8334 0.6250
Mg 0.3267 0.1733 0.3673
Mg 0.1673 0.8337 0.1250
Mg 0.8466 0.1733 0.3673
Mg 0.3267 0.1733 0.8827
Mg 0.8466 0.1733 0.8827
Mg 0.6666 0.3331 0.6250
Mg 0.8333 0.6667 0.8760
Mg 0.6666 0.8334 0.6250
Mg 0.6663 0.3327 0.1250
Mg 0.6663 0.8337 0.1250
Mg 0.3267 0.6534 0.3673
W 0.1667 0.3333 0.1250
Cd 0.1667 0.3333 0.6250
! Excess energy over the best structure of this formula in the dataset = 0 meV per atom
! Spin magnetization = 0.00 μB/cell
! Formation energy = 122.2 meV/atom

---

# 18
! Mg14CdW PBE optimized geometry; values from VASP
&SYSTEM
  ibrav = 0, nat = 16, ntyp = 3
/
ATOMIC_SPECIES
Mg 24.30 Mg.upf
W 183.84 W.upf
Cd 112.41 Cd.upf
CELL_PARAMETERS angstrom
6.2796 -0.0207 0.0000
-3.1577 5.4693 0.0000
0.0000 0.0000 9.9679
ATOMIC_POSITIONS crystal
Mg 0.3273 0.6557 0.3645
Mg 0.8444 0.1722 0.8831
Mg 0.8334 0.6667 0.3744
Mg 0.3273 0.6557 0.8855
Mg 0.6681 0.3327 0.1250
Mg 0.1670 0.3335 0.6250
Mg 0.8334 0.6667 0.8756
Mg 0.3273 0.1716 0.8855
Mg 0.6660 0.3315 0.6250
Mg 0.6660 0.8344 0.6250
Mg 0.3273 0.1716 0.3645
Mg 0.1688 0.8344 0.6250
Mg 0.8444 0.1722 0.3669
Mg 0.6681 0.8353 0.1250
W 0.1664 0.3332 0.1250
Cd 0.1648 0.8324 0.1250
! Excess energy over the best structure of this formula in the dataset = 12 meV per atom
! Spin magnetization = 0.00 μB/cell
! Formation energy = 134.0 meV/atom

---

# 19
! YMg6Cd PBE optimized geometry; values from VASP
&SYSTEM
  ibrav = 0, nat = 16, ntyp = 3
/
ATOMIC_SPECIES
Cd 112.41 Cd.upf
Mg 24.30 Mg.upf
Y 88.91 Y.upf
CELL_PARAMETERS angstrom
-4.2409 -0.0733 -2.8781
1.0346 -6.3565 -1.3625
-6.1537 -2.9613 9.1430
ATOMIC_POSITIONS crystal
Cd 0.5000 0.5000 0.1657
Cd 0.5000 0.0000 0.6657
Mg 0.5000 0.7445 0.9192
Mg 0.0000 0.2532 0.0812
Mg 0.0000 0.5000 0.8361
Mg 0.0000 0.7532 0.5812
Mg 0.0000 0.7468 0.0812
Mg 0.5000 0.5000 0.6671
Mg 0.0000 0.0000 0.3361
Mg 0.0000 0.2468 0.5812
Mg 0.5000 0.2445 0.4192
Mg 0.5000 0.7555 0.4192
Mg 0.5000 0.2555 0.9192
Mg 0.5000 0.0000 0.1671
Y 0.0000 0.5000 0.3304
Y 0.0000 0.0000 0.8304
! Spin magnetization = 0.00 μB/cell
! Formation energy = -45.6 meV/atom

---

# 20
! YMg6Cd PBE optimized geometry; values from VASP
&SYSTEM
  ibrav = 0, nat = 16, ntyp = 3
/
ATOMIC_SPECIES
Mg 24.30 Mg.upf
Cd 112.41 Cd.upf
Y 88.91 Y.upf
CELL_PARAMETERS angstrom
5.1327 0.0000 0.0000
0.0000 6.4752 0.0000
0.0000 0.0000 11.5847
ATOMIC_POSITIONS crystal
Mg 0.5000 0.2462 0.4187
Mg 0.5000 0.7538 0.4187
Mg 0.5000 0.7462 0.9187
Mg 0.5000 0.2538 0.9187
Mg 0.0000 0.0000 0.3359
Mg 0.0000 0.7547 0.5814
Mg 0.0000 0.5000 0.8359
Mg 0.0000 0.2547 0.0814
Mg 0.0000 0.2453 0.5814
Mg 0.0000 0.7453 0.0814
Mg 0.0000 0.0000 0.8319
Mg 0.0000 0.5000 0.3319
Cd 0.5000 0.0000 0.6627
Cd 0.5000 0.5000 0.1627
Y 0.5000 0.0000 0.1693
Y 0.5000 0.5000 0.6693
! Spin magnetization = 0.00 μB/cell
! Formation energy = -44.2 meV/atom